{
  "formula": "CsAg3Te2",
  "functional": "r2SCAN",
  "state": "relaxed",
  "formation_energy_mev_per_atom": -488.8,
  "lattice": [[8.847, -2.321, 0.000], [8.847, 2.321, 0.000], [-3.500, 0.000, 8.911]],
  "species": ["Cs", "Cs", "Ag", "Ag", "Ag", "Ag", "Ag", "Ag", "Te", "Te", "Te", "Te"],
  "fractional_positions": [[0.137, 0.137, 0.048], [0.863, 0.863, 0.952], [0.061, 0.061, 0.412], [0.309, 0.309, 0.546], [0.415, 0.415, 0.382], [0.585, 0.585, 0.618], [0.691, 0.691, 0.454], [0.939, 0.939, 0.588], [0.197, 0.197, 0.686], [0.477, 0.477, 0.766], [0.523, 0.523, 0.234], [0.803, 0.803, 0.314]]
}